Entry 1:
# Na2Ta5In3P12O48 PBE optimized geometry
data_Na2Ta5In3P12O48
_chemical_formula_sum 'Na6 Ta15 In9 P36 O144'
_cell_length_a 8.8029
_cell_length_b 15.2453
_cell_length_c 22.8206
_cell_angle_alpha 90.02
_cell_angle_beta 90.02
_cell_angle_gamma 90.03
_space_group_name_H-M_alt 'P 1'
_space_group_IT_number 1
loop_
_space_group_symop_operation_xyz
'x,y,z'
loop_
_atom_site_label
_atom_site_fract_x
_atom_site_fract_y
_atom_site_fract_z
_atom_site_occupancy
Na1 0.0000 0.0000 0.0000 1
Na2 0.9998 0.3375 0.3402 1
Na3 0.0010 0.0000 0.5000 1
Na4 0.4955 0.5048 0.4985 1
Na5 0.4971 0.5054 0.0009 1
Na6 0.4989 0.8351 0.8372 1
Ta1 0.9998 0.6721 0.0291 1
Ta2 0.4980 0.1665 0.0290 1
Ta3 0.4983 0.1700 0.8138 1
Ta4 0.4975 0.1719 0.5297 1
Ta5 0.4989 0.1688 0.3162 1
Ta6 0.4989 0.8342 0.4823 1
Ta7 0.4992 0.8354 0.1928 1
Ta8 0.5003 0.5000 0.1545 1
Ta9 0.4999 0.5072 0.6531 1
Ta10 0.9953 0.9989 0.6522 1
Ta11 0.9972 0.3351 0.6925 1
Ta12 0.9976 0.0053 0.1549 1
Ta13 0.9984 0.6701 0.3184 1
Ta14 0.9992 0.3368 0.9820 1
Ta15 0.9988 0.6691 0.8140 1
In1 0.0008 0.0050 0.8615 1
In2 0.4966 0.5004 0.8609 1
In3 0.4980 0.5035 0.3599 1
In4 0.4980 0.8353 0.9832 1
In5 0.4982 0.8385 0.6902 1
In6 0.9976 0.3364 0.1899 1
In7 0.9983 0.6651 0.5294 1
In8 0.9990 0.0019 0.3609 1
In9 0.9988 0.3386 0.4834 1
P1 0.1392 0.1905 0.0878 1
P2 0.1420 0.1466 0.7552 1
P3 0.1423 0.5236 0.4220 1
P4 0.1423 0.8130 0.4242 1
P5 0.1454 0.8583 0.7580 1
P6 0.1473 0.4802 0.0878 1
P7 0.2092 0.8390 0.0890 1
P8 0.2095 0.5014 0.7559 1
P9 0.2143 0.1700 0.4225 1
P10 0.2822 0.6692 0.9218 1
P11 0.2877 0.3387 0.5894 1
P12 0.2892 0.0022 0.2559 1
P13 0.3492 0.9801 0.5873 1
P14 0.3510 0.6475 0.2551 1
P15 0.3516 0.3560 0.2576 1
P16 0.3569 0.3101 0.9236 1
P17 0.3571 0.6908 0.5892 1
P18 0.3585 0.0271 0.9214 1
P19 0.6399 0.0275 0.4250 1
P20 0.6406 0.6488 0.7594 1
P21 0.6416 0.6899 0.0888 1
P22 0.6425 0.3114 0.4228 1
P23 0.6442 0.3596 0.7565 1
P24 0.6456 0.9794 0.0887 1
P25 0.7090 0.3372 0.0875 1
P26 0.7097 0.0015 0.7588 1
P27 0.7112 0.6692 0.4244 1
P28 0.7813 0.1700 0.9238 1
P29 0.7874 0.8370 0.5887 1
P30 0.7913 0.5025 0.2585 1
P31 0.8514 0.4791 0.5898 1
P32 0.8536 0.8582 0.2565 1
P33 0.8552 0.1490 0.2591 1
P34 0.8561 0.5282 0.9243 1
P35 0.8562 0.8115 0.9220 1
P36 0.8567 0.1904 0.5887 1
O1 0.0583 0.4351 0.4181 1
O2 0.0624 0.7672 0.7648 1
O3 0.0633 0.2358 0.0343 1
O4 0.0662 0.1158 0.8110 1
O5 0.0674 0.0968 0.0948 1
O6 0.0721 0.4481 0.1429 1
O7 0.0722 0.9038 0.7024 1
O8 0.0737 0.7734 0.4782 1
O9 0.0790 0.5777 0.3666 1
O10 0.0802 0.2388 0.7398 1
O11 0.0814 0.9064 0.4178 1
O12 0.0830 0.5723 0.0731 1
O13 0.0998 0.9168 0.1033 1
O14 0.1021 0.4244 0.7397 1
O15 0.1078 0.7561 0.0815 1
O16 0.1090 0.7575 0.3672 1
O17 0.1101 0.5843 0.7645 1
O18 0.1125 0.5730 0.4780 1
O19 0.1140 0.0851 0.7021 1
O20 0.1163 0.4184 0.0345 1
O21 0.1211 0.9130 0.8124 1
O22 0.1225 0.0850 0.4229 1
O23 0.1232 0.2548 0.4225 1
O24 0.1293 0.2433 0.1432 1
O25 0.1728 0.9910 0.5952 1
O26 0.1780 0.6577 0.2627 1
O27 0.1776 0.6664 0.9776 1
O28 0.1789 0.6729 0.8665 1
O29 0.1807 0.3155 0.9341 1
O30 0.1827 0.0188 0.2016 1
O31 0.1828 0.3225 0.6427 1
O32 0.1838 0.3411 0.2489 1
O33 0.1847 0.0254 0.9228 1
O34 0.1920 0.6735 0.5806 1
O35 0.1987 0.9783 0.3092 1
O36 0.2008 0.3603 0.5341 1
O37 0.2970 0.4774 0.8107 1
O38 0.2966 0.8618 0.0340 1
O39 0.3098 0.1756 0.0737 1
O40 0.3136 0.8420 0.7501 1
O41 0.3150 0.5147 0.4171 1
O42 0.3145 0.8237 0.1421 1
O43 0.3157 0.5191 0.7028 1
O44 0.3174 0.1572 0.7639 1
O45 0.3183 0.1733 0.3663 1
O46 0.3199 0.1667 0.4775 1
O47 0.3206 0.8178 0.4314 1
O48 0.3234 0.4901 0.0947 1
O49 0.3743 0.5841 0.9232 1
O50 0.3743 0.7542 0.9224 1
O51 0.3777 0.4121 0.3108 1
O52 0.3782 0.9187 0.5346 1
O53 0.3828 0.5856 0.2010 1
O54 0.3833 0.7420 0.6449 1
O55 0.3870 0.2568 0.8675 1
O56 0.3885 0.0846 0.2632 1
O57 0.3898 0.2559 0.5819 1
O58 0.3951 0.4169 0.6039 1
O59 0.3953 0.9247 0.2390 1
O60 0.4043 0.0805 0.9773 1
O61 0.4137 0.0727 0.5731 1
O62 0.4166 0.7395 0.2382 1
O63 0.4185 0.0781 0.8666 1
O64 0.4212 0.2613 0.9776 1
O65 0.4225 0.9505 0.6440 1
O66 0.4250 0.4031 0.2016 1
O67 0.4268 0.4010 0.9232 1
O68 0.4316 0.6157 0.3089 1
O69 0.4343 0.7370 0.5348 1
O70 0.4361 0.2660 0.2640 1
O71 0.4381 0.9385 0.9218 1
O72 0.4408 0.5980 0.5958 1
O73 0.5589 0.9378 0.4345 1
O74 0.5631 0.4000 0.4231 1
O75 0.5627 0.7224 0.0340 1
O76 0.5658 0.4043 0.7039 1
O77 0.5690 0.2678 0.7654 1
O78 0.5714 0.6084 0.8138 1
O79 0.5713 0.9348 0.1421 1
O80 0.5738 0.0702 0.3686 1
O81 0.5736 0.0722 0.0815 1
O82 0.5777 0.5969 0.1034 1
O83 0.5825 0.2622 0.4785 1
O84 0.5840 0.7418 0.7515 1
O85 0.5960 0.2548 0.3676 1
O86 0.5982 0.9268 0.7516 1
O87 0.6006 0.0853 0.4788 1
O88 0.6010 0.2595 0.0733 1
O89 0.6017 0.5926 0.4177 1
O90 0.6067 0.4205 0.0948 1
O91 0.6085 0.5896 0.7042 1
O92 0.6107 0.7504 0.1420 1
O93 0.6147 0.0894 0.7658 1
O94 0.6167 0.7570 0.4310 1
O95 0.6352 0.4126 0.8125 1
O96 0.6361 0.9246 0.0336 1
O97 0.6771 0.4876 0.6048 1
O98 0.6781 0.1606 0.9785 1
O99 0.6785 0.1499 0.2655 1
O100 0.6795 0.8540 0.5348 1
O101 0.6818 0.1804 0.5812 1
O102 0.6821 0.1833 0.8687 1
O103 0.6818 0.5135 0.2028 1
O104 0.6829 0.8144 0.9225 1
O105 0.6838 0.8437 0.2390 1
O106 0.6851 0.5159 0.9239 1
O107 0.6963 0.4869 0.3123 1
O108 0.6999 0.8266 0.6452 1
O109 0.7936 0.3154 0.1428 1
O110 0.8012 0.6542 0.4793 1
O111 0.8015 0.9882 0.8140 1
O112 0.8120 0.0175 0.4235 1
O113 0.8136 0.3422 0.7414 1
O114 0.8151 0.0141 0.7038 1
O115 0.8154 0.3123 0.4224 1
O116 0.8153 0.6824 0.3687 1
O117 0.8162 0.3531 0.0343 1
O118 0.8165 0.6804 0.0813 1
O119 0.8171 0.9950 0.1029 1
O120 0.8185 0.6504 0.7663 1
O121 0.8583 0.4232 0.5347 1
O122 0.8606 0.9140 0.3106 1
O123 0.8772 0.2555 0.9341 1
O124 0.8820 0.0896 0.9233 1
O125 0.8827 0.5899 0.2652 1
O126 0.8857 0.9253 0.5959 1
O127 0.8865 0.2487 0.6429 1
O128 0.8901 0.0896 0.2033 1
O129 0.8955 0.5849 0.9789 1
O130 0.8955 0.7628 0.5801 1
O131 0.8976 0.4258 0.2493 1
O132 0.9015 0.7552 0.8676 1
O133 0.9152 0.2408 0.2501 1
O134 0.9152 0.7626 0.9784 1
O135 0.9196 0.4266 0.6427 1
O136 0.9213 0.0978 0.6036 1
O137 0.9221 0.5686 0.5906 1
O138 0.9233 0.5695 0.8686 1
O139 0.9269 0.1086 0.3125 1
O140 0.9279 0.7677 0.2639 1
O141 0.9294 0.9052 0.2026 1
O142 0.9353 0.2236 0.5340 1
O143 0.9369 0.9003 0.9233 1
O144 0.9378 0.4374 0.9348 1
# ΔH_f (0 K) ... -19217 kJ/mol of formula units
# V ... 3063 Å³/cell
# Electronic total energy ... -7.698 eV/atom

=====

Entry 2:
# KZr6BI14 PBE optimized geometry
data_KZr6BI14
_chemical_formula_sum 'K4 Zr24 B4 I56'
_cell_length_a 16.1237
_cell_length_b 14.6263
_cell_length_c 13.1350
_cell_angle_alpha 90.00
_cell_angle_beta 90.00
_cell_angle_gamma 90.00
_space_group_name_H-M_alt 'C m c e'
_space_group_IT_number 64
_space_group_name_Hall '-C 2ac 2'
loop_
_atom_site_label
_atom_site_fract_x
_atom_site_fract_y
_atom_site_fract_z
_atom_site_occupancy
K1 0.0000 0.0000 0.0000 1
Zr1 0.0000 0.1339 0.4019 1
Zr2 0.1064 0.0643 0.6084 1
B1 0.0000 0.0000 0.5000 1
I1 0.0000 0.1564 0.7606 1
I2 0.1242 0.0887 0.2510 1
I3 0.1249 0.2409 0.5063 1
I4 0.2493 0.0000 0.0000 1
I5 0.2500 0.1504 0.7500 1
# ΔH_f (0 K) ... -2706 kJ/mol of formula units
# V ... 3098 Å³/cell
# Electronic total energy ... -4.689 eV/atom

=====

Entry 3:
# PuB4ClO8 PBE optimized geometry
data_PuB4ClO8
_chemical_formula_sum 'Pu4 B16 Cl4 O32'
_cell_length_a 6.5021
_cell_length_b 11.3241
_cell_length_c 9.2792
_cell_angle_alpha 90.00
_cell_angle_beta 105.34
_cell_angle_gamma 90.00
_space_group_name_H-M_alt 'C 1 c 1'
_space_group_IT_number 9
loop_
_space_group_symop_operation_xyz
'x,y,z'
'x,-y,z+1/2'
'x+1/2,y+1/2,z'
'x+1/2,-y+1/2,z+1/2'
loop_
_atom_site_label
_atom_site_fract_x
_atom_site_fract_y
_atom_site_fract_z
_atom_site_occupancy
Pu1 0.0000 0.1948 0.0000 1
B1 0.1774 0.0971 0.3468 1
B2 0.3333 0.4463 0.8945 1
B3 0.4197 0.2456 0.8281 1
B4 0.4889 0.0356 0.9139 1
Cl1 0.3674 0.3159 0.1750 1
O1 0.0330 0.0135 0.3967 1
O2 0.1295 0.0928 0.1803 1
O3 0.1395 0.2161 0.3919 1
O4 0.2110 0.4622 0.4342 1
O5 0.2637 0.3358 0.8505 1
O6 0.3702 0.1363 0.8936 1
O7 0.3936 0.2344 0.6652 1
O8 0.4001 0.0729 0.4147 1
# ΔH_f (0 K) ... -3642 kJ/mol of formula units
# V ... 659 Å³/cell
# Electronic total energy ... -8.190 eV/atom

=====

Entry 4:
# Re3Ru PBE optimized geometry
data_Re3Ru
_chemical_formula_sum 'Re6 Ru2'
_cell_length_a 2.7662
_cell_length_b 8.8803
_cell_length_c 4.8258
_cell_angle_alpha 90.00
_cell_angle_beta 90.00
_cell_angle_gamma 90.00
_space_group_name_H-M_alt 'I m m 2'
_space_group_IT_number 44
loop_
_space_group_symop_operation_xyz
'x,y,z'
'-x,-y,z'
'-x,y,z'
'x,-y,z'
'x+1/2,y+1/2,z+1/2'
'-x+1/2,-y+1/2,z+1/2'
'-x+1/2,y+1/2,z+1/2'
'x+1/2,-y+1/2,z+1/2'
loop_
_atom_site_label
_atom_site_fract_x
_atom_site_fract_y
_atom_site_fract_z
_atom_site_occupancy
Re1 0.0000 0.0000 0.0000 1
Re2 0.0000 0.2484 0.3258 1
Ru1 0.0000 0.5000 0.9926 1
# ΔH_f (0 K) ... -24 kJ/mol of formula units
# V ... 119 Å³/cell
# Electronic total energy ... -11.715 eV/atom

=====

Entry 5:
# Ni3Rh PBE optimized geometry
data_Ni3Rh
_chemical_formula_sum 'Ni6 Rh2'
_cell_length_a 5.1328
_cell_length_b 5.1328
_cell_length_c 4.1134
_cell_angle_alpha 90.00
_cell_angle_beta 90.00
_cell_angle_gamma 120.00
_space_group_name_H-M_alt 'P 63/m m c'
_space_group_IT_number 194
_space_group_name_Hall '-P 6c 2c'
loop_
_atom_site_label
_atom_site_fract_x
_atom_site_fract_y
_atom_site_fract_z
_atom_site_occupancy
Ni1 0.1633 0.3266 0.2500 1
Rh1 0.3333 0.6667 0.7500 1
# ΔH_f (0 K) ... 14 kJ/mol of formula units
# V ... 94 Å³/cell
# Electronic total energy ... -6.141 eV/atom

=====

Entry 6:
# Sc6Pb5 PBE optimized geometry
data_Sc6Pb5
_chemical_formula_sum 'Sc24 Pb20'
_cell_length_a 9.0201
_cell_length_b 19.4908
_cell_length_c 6.2475
_cell_angle_alpha 90.00
_cell_angle_beta 90.00
_cell_angle_gamma 90.00
_space_group_name_H-M_alt 'I b a m'
_space_group_IT_number 72
_space_group_name_Hall '-I 2 2c'
loop_
_atom_site_label
_atom_site_fract_x
_atom_site_fract_y
_atom_site_fract_z
_atom_site_occupancy
Sc1 0.0000 0.1954 0.2500 1
Sc2 0.1103 0.3573 0.0000 1
Sc3 0.2340 0.0601 0.0000 1
Pb1 0.0000 0.5000 0.2500 1
Pb2 0.1015 0.0751 0.5000 1
Pb3 0.1973 0.2934 0.5000 1
# ΔH_f (0 K) ... -462 kJ/mol of formula units
# V ... 1098 Å³/cell
# Electronic total energy ... -5.577 eV/atom